Crystalline Ho3Ge4 at its relaxed geometry, computed with r²SCAN.

a = 4.0357 Å, b = 5.6616 Å, c = 14.1617 Å
α = 90.00°, β = 90.00°, γ = 110.88°
With the nearest neighbours (Å) after each atom.
Element x y z (fractional)
Ge: 0.3792 0.7583 0.1089  3 Ge 2.58-2.84
Ge: 0.2246 0.4492 0.2500  2 Ge 2.58, 1 Ho 2.87
Ge: 0.6208 0.2417 0.6089  3 Ge 2.58-2.84
Ge: 0.3792 0.7583 0.3911  3 Ge 2.58-2.84
Ge: 0.0000 0.0000 0.0000  4 Ge 2.84, 4 Ho 3.02
Ge: 0.7754 0.5508 0.7500  2 Ge 2.58, 1 Ho 2.87
Ge: 0.0000 0.0000 0.5000  4 Ge 2.84, 4 Ho 3.02
Ge: 0.6208 0.2417 0.8911  3 Ge 2.58-2.84
Ho: 0.3313 0.6627 0.5965  8 Ge 2.95-3.07
Ho: 0.0469 0.0938 0.7500  7 Ge 2.87-3.15
Ho: 0.6687 0.3373 0.4035  8 Ge 2.95-3.07
Ho: 0.3313 0.6627 0.9035  8 Ge 2.95-3.07
Ho: 0.9531 0.9062 0.2500  7 Ge 2.87-3.15
Ho: 0.6687 0.3373 0.0965  8 Ge 2.95-3.07

DFT formation energy: -0.86 eV/atom
SG: No. 63
Total magnetization: 0.0000 μB/atom


Crystalline Sb2Te2O9 at its relaxed geometry, computed with r²SCAN.

a = 4.8678 Å, b = 14.6538 Å, c = 21.9521 Å
α = 70.61°, β = 90.00°, γ = 90.00°
With the nearest neighbours (Å) after each atom.
Element x y z (fractional)
Sb: 0.2169 0.6660 0.8421  6 O 1.94-2.02
Sb: 0.2086 0.6684 0.5524  6 O 1.95-2.03
Sb: 0.2162 0.7804 0.0546  6 O 1.94-2.03
Sb: 0.2831 0.1660 0.8421  6 O 1.94-2.02
Sb: 0.2914 0.1684 0.5524  6 O 1.95-2.03
Sb: 0.2055 0.9900 0.3469  6 O 1.94-2.04
Sb: 0.2945 0.4900 0.3469  6 O 1.94-2.04
Sb: 0.7945 0.0100 0.6531  6 O 1.94-2.04
Sb: 0.7086 0.8316 0.4476  6 O 1.95-2.03
Sb: 0.7162 0.7196 0.9454  6 O 1.94-2.03
Sb: 0.7169 0.8340 0.1579  6 O 1.94-2.02
Sb: 0.7838 0.2196 0.9454  6 O 1.94-2.03
Sb: 0.7914 0.3316 0.4476  6 O 1.95-2.03
Sb: 0.2838 0.2804 0.0546  6 O 1.94-2.03
Sb: 0.7055 0.5100 0.6531  6 O 1.94-2.04
Sb: 0.7831 0.3340 0.1579  6 O 1.94-2.02
O: 0.4645 0.7897 0.2336  1 Te 1.85, 1 Sb 1.99
O: 0.4919 0.2436 0.8819  2 Sb 1.94
O: 0.0860 0.2861 0.7908  1 Te 1.89, 1 Sb 1.99
O: 0.4448 0.2573 0.5959  1 Te 1.90, 1 Sb 2.00
O: 0.9065 0.9097 0.6178  1 Te 1.88, 1 Sb 1.95
O: 0.4980 0.2331 0.4723  2 Sb 1.97
O: 0.8883 0.5917 0.9978  1 Te 1.90, 1 Sb 2.03
O: 0.4049 0.9237 0.4265  2 Sb 1.95
O: 0.5951 0.0763 0.5735  2 Sb 1.95
O: 0.9049 0.5763 0.5735  2 Sb 1.95
O: 0.0552 0.7573 0.5959  1 Te 1.90, 1 Sb 2.00
O: 0.0935 0.0903 0.3822  1 Te 1.88, 1 Sb 1.95
O: 0.9291 0.3537 0.8980  1 Te 1.91, 1 Sb 2.02
O: 0.0020 0.7331 0.4723  2 Sb 1.97
O: 0.5081 0.7564 0.1181  2 Sb 1.94
O: 0.9640 0.9258 0.7381  1 Te 1.88, 1 Sb 2.04
O: 0.4550 0.6065 0.7896  1 Te 1.90, 1 Sb 2.02
O: 0.9117 0.7988 0.9909  2 Sb 1.99-2.01
O: 0.6035 0.4012 0.3659  2 Sb 1.94-1.97
O: 0.4677 0.9283 0.6846  1 Te 1.89, 1 Sb 1.97
O: 0.3876 0.5817 0.5085  1 Te 1.91, 1 Sb 2.03
O: 0.1035 0.0988 0.6341  2 Sb 1.94-1.97
O: 0.9677 0.5717 0.3154  1 Te 1.89, 1 Sb 1.97
O: 0.0054 0.8621 0.0921  2 Sb 1.95-1.96
O: 0.5709 0.8537 0.8980  1 Te 1.91, 1 Sb 2.02
O: 0.5883 0.2988 0.9909  2 Sb 1.99-2.01
O: 0.9946 0.1379 0.9079  2 Sb 1.95-1.96
O: 0.6445 0.0859 0.7058  1 Te 1.90, 1 Sb 1.99
O: 0.9980 0.2669 0.5277  2 Sb 1.97
O: 0.0360 0.0742 0.2619  1 Te 1.88, 1 Sb 2.04
O: 0.6124 0.4183 0.4915  1 Te 1.91, 1 Sb 2.03
O: 0.5552 0.7427 0.4041  1 Te 1.90, 1 Sb 2.00
O: 0.5020 0.7669 0.5277  2 Sb 1.97
O: 0.8965 0.9012 0.3659  2 Sb 1.94-1.97
O: 0.4117 0.7012 0.0091  2 Sb 1.99-2.01
O: 0.9550 0.8935 0.2104  1 Te 1.90, 1 Sb 2.02
O: 0.4140 0.7861 0.7908  1 Te 1.89, 1 Sb 1.99
O: 0.5360 0.4258 0.7381  1 Te 1.88, 1 Sb 2.04
O: 0.9338 0.4647 0.1235  1 Te 1.92, 1 Sb 1.95
O: 0.3965 0.5988 0.6341  2 Sb 1.94-1.97
O: 0.0355 0.2897 0.2336  1 Te 1.85, 1 Sb 1.99
O: 0.0323 0.4283 0.6846  1 Te 1.89, 1 Sb 1.97
O: 0.1124 0.0817 0.5085  1 Te 1.91, 1 Sb 2.03
O: 0.5323 0.0717 0.3154  1 Te 1.89, 1 Sb 1.97
O: 0.5935 0.4097 0.6178  1 Te 1.88, 1 Sb 1.95
O: 0.3883 0.9083 0.0022  1 Te 1.90, 1 Sb 2.03
O: 0.5860 0.2139 0.2092  1 Te 1.89, 1 Sb 1.99
O: 0.4946 0.3621 0.0921  2 Sb 1.95-1.96
O: 0.9140 0.7139 0.2092  1 Te 1.89, 1 Sb 1.99
O: 0.5662 0.9647 0.1235  1 Te 1.92, 1 Sb 1.95
O: 0.5450 0.3935 0.2104  1 Te 1.90, 1 Sb 2.02
O: 0.6117 0.0917 0.9978  1 Te 1.90, 1 Sb 2.03
O: 0.9448 0.2427 0.4041  1 Te 1.90, 1 Sb 2.00
O: 0.4640 0.5742 0.2619  1 Te 1.88, 1 Sb 2.04
O: 0.8876 0.9183 0.4915  1 Te 1.91, 1 Sb 2.03
O: 0.8555 0.5859 0.7058  1 Te 1.90, 1 Sb 1.99
O: 0.1117 0.4083 0.0022  1 Te 1.90, 1 Sb 2.03
O: 0.3555 0.9141 0.2942  1 Te 1.90, 1 Sb 1.99
O: 0.0951 0.4237 0.4265  2 Sb 1.95
O: 0.0709 0.6463 0.1020  1 Te 1.91, 1 Sb 2.02
O: 0.0081 0.7436 0.8819  2 Sb 1.94
O: 0.4291 0.1463 0.1020  1 Te 1.91, 1 Sb 2.02
O: 0.5355 0.2103 0.7664  1 Te 1.85, 1 Sb 1.99
O: 0.9919 0.2564 0.1181  2 Sb 1.94
O: 0.5054 0.6379 0.9079  2 Sb 1.95-1.96
O: 0.4338 0.0353 0.8765  1 Te 1.92, 1 Sb 1.95
O: 0.9645 0.7103 0.7664  1 Te 1.85, 1 Sb 1.99
O: 0.4065 0.5903 0.3822  1 Te 1.88, 1 Sb 1.95
O: 0.0883 0.2012 0.0091  2 Sb 1.99-2.01
O: 0.0450 0.1065 0.7896  1 Te 1.90, 1 Sb 2.02
O: 0.0662 0.5353 0.8765  1 Te 1.92, 1 Sb 1.95
O: 0.1445 0.4141 0.2942  1 Te 1.90, 1 Sb 1.99
Te: 0.1663 0.8100 0.2794  3 O 1.85-1.90
Te: 0.3317 0.0535 0.0617  3 O 1.90-1.92
Te: 0.8337 0.1900 0.7206  3 O 1.85-1.90
Te: 0.6683 0.9465 0.9383  3 O 1.90-1.92
Te: 0.1580 0.8895 0.5585  3 O 1.88-1.91
Te: 0.1683 0.5535 0.0617  3 O 1.90-1.92
Te: 0.8291 0.5805 0.2330  3 O 1.88-1.89
Te: 0.6709 0.0805 0.2330  3 O 1.88-1.89
Te: 0.8317 0.4465 0.9383  3 O 1.90-1.92
Te: 0.6580 0.6105 0.4415  3 O 1.88-1.91
Te: 0.6663 0.6900 0.7206  3 O 1.85-1.90
Te: 0.3291 0.9195 0.7670  3 O 1.88-1.89
Te: 0.1709 0.4195 0.7670  3 O 1.88-1.89
Te: 0.8420 0.1105 0.4415  3 O 1.88-1.91
Te: 0.3337 0.3100 0.2794  3 O 1.85-1.90
Te: 0.3420 0.3895 0.5585  3 O 1.88-1.91

DFT formation energy: -1.34 eV/atom
SG: No. 14
Total magnetization: 0.0000 μB/atom


Crystalline Dy at its relaxed geometry, computed with r²SCAN.

a = 3.5777 Å, b = 3.5777 Å, c = 11.4576 Å
α = 90.00°, β = 90.00°, γ = 120.00°
With the nearest neighbours (Å) after each atom.
Element x y z (fractional)
Dy: 0.3333 0.6667 0.2500  12 Dy 3.53-3.58
Dy: 0.0000 0.0000 0.0000  12 Dy 3.53-3.58
Dy: 0.6667 0.3333 0.7500  12 Dy 3.53-3.58
Dy: 0.0000 0.0000 0.5000  12 Dy 3.53-3.58

DFT formation energy: 0.00 eV/atom
SG: No. 194
Polymorph energy (0 for the lowest one): 2 meV/atom
Total magnetization: 0.0003 μB/atom


Crystalline Rb2UBr6 at its relaxed geometry, computed with r²SCAN.

a = 7.6501 Å, b = 7.6604 Å, c = 11.5039 Å
α = 90.00°, β = 90.00°, γ = 90.00°
With the nearest neighbours (Å) after each atom.
Element x y z (fractional)
Br: 0.6968 0.8037 0.5000  1 U 2.77
Br: 0.5000 0.5000 0.7416  1 U 2.78
Br: 0.0000 0.0000 0.2416  1 U 2.78
Br: 0.6956 0.8040 0.0000  1 U 2.77
Br: 0.8044 0.3040 0.5000  1 U 2.77
Br: 0.3044 0.1960 0.0000  1 U 2.77
Br: 0.1956 0.6960 0.5000  1 U 2.77
Br: 0.5000 0.5000 0.2584  1 U 2.78
Br: 0.0000 0.0000 0.7584  1 U 2.78
Br: 0.3032 0.1963 0.5000  1 U 2.77
Br: 0.1968 0.6963 0.0000  1 U 2.77
Br: 0.8032 0.3037 0.0000  1 U 2.77
Rb: 0.0000 0.5000 0.2486  8 Br 3.56-3.83
Rb: 0.0000 0.5000 0.7514  8 Br 3.56-3.83
Rb: 0.5000 0.0000 0.7486  8 Br 3.56-3.83
Rb: 0.5000 0.0000 0.2514  8 Br 3.56-3.83
U: 0.0000 0.0000 0.0000  6 Br 2.77-2.78
U: 0.5000 0.5000 0.5000  6 Br 2.77-2.78

DFT formation energy: -1.85 eV/atom
SG: No. 58
Total magnetization: 0.0000 μB/atom


Crystalline NbPd2 at its relaxed geometry, computed with r²SCAN.

a = 2.8352 Å, b = 3.9446 Å, c = 4.8695 Å
α = 113.89°, β = 106.93°, γ = 90.00°
With the nearest neighbours (Å) after each atom.
Element x y z (fractional)
Nb: 0.0000 0.0000 0.0000  10 Pd 2.81, 2 Nb 2.84
Pd: 0.6666 0.6666 0.3332  5 Nb 2.81, 7 Pd 2.81-2.84
Pd: 0.3334 0.3334 0.6668  5 Nb 2.81, 7 Pd 2.81-2.84

DFT formation energy: -0.42 eV/atom
SG: No. 71
Total magnetization: 0.0000 μB/atom


Crystalline ThBe13 at its relaxed geometry, computed with r²SCAN.

a = 7.3173 Å, b = 7.3173 Å, c = 7.3172 Å
α = 60.00°, β = 60.00°, γ = 60.00°
With the nearest neighbours (Å) after each atom.
Element x y z (fractional)
Be: 0.7116 0.0623 0.2884  10 Be 2.16-2.34
Be: 0.7884 0.4377 0.5623  10 Be 2.16-2.34
Be: 0.7116 0.9377 0.0623  10 Be 2.16-2.34
Be: 0.0623 0.7116 0.9377  10 Be 2.16-2.34
Be: 0.4377 0.2116 0.5623  10 Be 2.16-2.34
Be: 0.0623 0.2884 0.7116  10 Be 2.16-2.34
Be: 0.5623 0.4377 0.2116  10 Be 2.16-2.34
Be: 0.2884 0.7116 0.0623  10 Be 2.16-2.34
Be: 0.7884 0.2116 0.4377  10 Be 2.16-2.34
Be: 0.5000 0.5000 0.5000  12 Be 2.16
Be: 0.4377 0.7884 0.2116  10 Be 2.16-2.34
Be: 0.5623 0.7884 0.4377  10 Be 2.16-2.34
Be: 0.0000 0.0000 0.0000  12 Be 2.16
Be: 0.9377 0.0623 0.7116  10 Be 2.16-2.34
Be: 0.7116 0.2884 0.9377  10 Be 2.16-2.34
Be: 0.7884 0.5623 0.2116  10 Be 2.16-2.34
Be: 0.9377 0.7116 0.2884  10 Be 2.16-2.34
Be: 0.2884 0.0623 0.9377  10 Be 2.16-2.34
Be: 0.2116 0.7884 0.5623  10 Be 2.16-2.34
Be: 0.2116 0.5623 0.4377  10 Be 2.16-2.34
Be: 0.9377 0.2884 0.0623  10 Be 2.16-2.34
Be: 0.5623 0.2116 0.7884  10 Be 2.16-2.34
Be: 0.0623 0.9377 0.2884  10 Be 2.16-2.34
Be: 0.4377 0.5623 0.7884  10 Be 2.16-2.34
Be: 0.2884 0.9377 0.7116  10 Be 2.16-2.34
Be: 0.2116 0.4377 0.7884  10 Be 2.16-2.34
Th: 0.7500 0.7500 0.7500  24 Be 3.05
Th: 0.2500 0.2500 0.2500  24 Be 3.05

DFT formation energy: -0.17 eV/atom
SG: No. 226
Total magnetization: 0.0000 μB/atom


Crystalline Nd2SnS5 at its relaxed geometry, computed with r²SCAN.

a = 3.9246 Å, b = 7.8939 Å, c = 11.4126 Å
α = 90.00°, β = 90.00°, γ = 90.00°
With the nearest neighbours (Å) after each atom.
Element x y z (fractional)
S: 0.5000 0.1764 0.9158  2 Sn 2.59
S: 0.0000 0.0000 0.5000  4 Nd 2.80
S: 0.0000 0.5000 0.0000  4 Nd 2.80
S: 0.5000 0.6764 0.5842  2 Sn 2.59
S: 0.5000 0.3236 0.4158  2 Sn 2.59
S: 0.0000 0.1620 0.1961  1 Sn 2.58
S: 0.0000 0.8380 0.8039  1 Sn 2.58
S: 0.0000 0.6620 0.3039  1 Sn 2.58
S: 0.5000 0.8236 0.0842  2 Sn 2.59
S: 0.0000 0.3380 0.6961  1 Sn 2.58
Nd: 0.5000 0.5483 0.8281  8 S 2.80-3.10
Nd: 0.5000 0.4517 0.1719  8 S 2.80-3.10
Nd: 0.5000 0.9517 0.3281  8 S 2.80-3.10
Nd: 0.5000 0.0483 0.6719  8 S 2.80-3.10
Sn: 0.0000 0.0000 0.0000  6 S 2.58-2.59
Sn: 0.0000 0.5000 0.5000  6 S 2.58-2.59

DFT formation energy: -1.68 eV/atom
SG: No. 55
Total magnetization: 0.0000 μB/atom


Crystalline LaYMg6 at its relaxed geometry, computed with r²SCAN.

a = 9.0709 Å, b = 9.0709 Å, c = 9.0709 Å
α = 33.47°, β = 33.47°, γ = 33.47°
With the nearest neighbours (Å) after each atom.
Element x y z (fractional)
Mg: 0.1271 0.1271 0.1271  4 Mg 3.13-3.21, 3 Y 3.18, 1 La 3.26
Mg: 0.7511 0.7511 0.7511  8 Mg 3.13-3.30
Mg: 0.6227 0.6227 0.6227  1 Y 3.15, 4 Mg 3.19-3.30, 3 La 3.22
Mg: 0.8729 0.8729 0.8729  4 Mg 3.13-3.21, 3 Y 3.18, 1 La 3.26
Mg: 0.3773 0.3773 0.3773  1 Y 3.15, 4 Mg 3.19-3.30, 3 La 3.22
Mg: 0.2489 0.2489 0.2489  8 Mg 3.13-3.30
La: 0.0000 0.0000 0.0000  8 Mg 3.22-3.26
Y: 0.5000 0.5000 0.5000  8 Mg 3.15-3.18

DFT formation energy: -0.11 eV/atom
SG: No. 166
Total magnetization: 0.0000 μB/atom